1.
Here is a relaxed LiMnPO4 crystal from the Materials Project. Energies are from PBE+U.

Output
Formation energy from the elements (eV/f.u.): -17.95
ΔE to the lowest computed polymorph (eV per atom): 0.069
Magnetization (μB/f.u.): 0.00

Lattice parameters (Å, degrees): 5.5339 7.6422 8.3462 68.20 94.99 103.34
Last column: nearest neighbours and their distance in Å.
Element x y z (fractional)
Mn (0.1070, 0.8129, 0.4628)  5 O 2.13-2.33
Mn (0.6070, 0.3129, 0.9629)  5 O 2.13-2.33
Mn (0.3946, 0.6855, 0.0420)  5 O 2.13-2.33
Mn (0.8944, 0.1854, 0.5420)  5 O 2.13-2.33
Li (0.5171, 0.5163, 0.4849)  4 O 2.04-2.12
Li (0.2819, 0.2808, 0.2204)  4 O 1.90-2.11
Li (0.7819, 0.7807, 0.7204)  4 O 1.90-2.11
Li (0.0171, 0.0163, 0.9848)  4 O 2.04-2.12
O (0.1335, 0.9673, 0.6599)  1 P 1.58
O (0.3768, 0.0391, 0.2911)  1 P 1.57
O (0.9811, 0.2498, 0.7707)  1 P 1.54
O (0.2609, 0.4244, 0.9515)  1 P 1.58
O (0.3670, 0.0958, 0.8867)  1 P 1.54
O (0.0313, 0.7198, 0.0769)  1 P 1.55
O (0.5439, 0.8787, 0.7943)  1 P 1.57
O (0.8671, 0.5959, 0.3867)  1 P 1.54
O (0.7610, 0.9244, 0.4515)  1 P 1.58
O (0.7715, 0.0796, 0.1267)  1 P 1.55
O (0.5312, 0.2198, 0.5769)  1 P 1.55
O (0.8766, 0.5390, 0.7912)  1 P 1.57
O (0.0438, 0.3787, 0.2944)  1 P 1.57
O (0.6334, 0.4673, 0.1599)  1 P 1.58
O (0.2714, 0.5797, 0.6267)  1 P 1.55
O (0.4811, 0.7498, 0.2707)  1 P 1.54
P (0.6000, 0.9483, 0.2822)  4 O 1.54-1.58
P (0.8956, 0.5444, 0.2282)  4 O 1.54-1.58
P (0.3956, 0.0444, 0.7282)  4 O 1.54-1.58
P (0.1000, 0.4483, 0.7822)  4 O 1.54-1.58



2.
Here is a relaxed LiMnPO4 crystal from the Materials Project. Energies are from PBE+U.

Output
Formation energy from the elements (eV/f.u.): -17.96
ΔE to the lowest computed polymorph (eV per atom): 0.068
Magnetization (μB/f.u.): 5.00

Lattice parameters (Å, degrees): 5.1075 8.2295 10.6738 90.00 117.39 90.00
Last column: nearest neighbours and their distance in Å.
Element x y z (fractional)
Li (0.0571, 0.0464, 0.3755)  3 O 1.96-2.03
Li (0.0571, 0.4536, 0.8755)  3 O 1.96-2.03
Li (0.9429, 0.5464, 0.1245)  3 O 1.96-2.03
Li (0.9429, 0.9536, 0.6245)  3 O 1.96-2.03
Mn (0.3322, 0.1728, 0.0912)  4 O 2.02-2.13
Mn (0.3322, 0.3272, 0.5912)  4 O 2.02-2.13
Mn (0.6678, 0.6728, 0.4088)  4 O 2.02-2.13
Mn (0.6678, 0.8272, 0.9088)  4 O 2.02-2.13
P (0.3162, 0.7442, 0.0696)  4 O 1.53-1.58
P (0.3162, 0.7558, 0.5696)  4 O 1.53-1.58
P (0.6838, 0.2442, 0.4304)  4 O 1.53-1.58
P (0.6838, 0.2558, 0.9304)  4 O 1.53-1.58
O (0.0293, 0.6715, 0.9449)  1 P 1.58
O (0.0293, 0.8285, 0.4449)  1 P 1.58
O (0.2937, 0.5703, 0.5594)  1 P 1.53
O (0.2937, 0.9297, 0.0594)  1 P 1.53
O (0.3195, 0.6788, 0.2072)  1 P 1.56
O (0.3195, 0.8212, 0.7072)  1 P 1.56
O (0.4069, 0.1867, 0.4429)  1 P 1.55
O (0.4069, 0.3133, 0.9429)  1 P 1.55
O (0.5931, 0.6867, 0.0571)  1 P 1.55
O (0.5931, 0.8133, 0.5571)  1 P 1.55
O (0.6805, 0.1788, 0.2928)  1 P 1.56
O (0.6805, 0.3212, 0.7928)  1 P 1.56
O (0.7063, 0.0703, 0.9406)  1 P 1.53
O (0.7063, 0.4297, 0.4406)  1 P 1.53
O (0.9707, 0.1715, 0.5551)  1 P 1.58
O (0.9707, 0.3285, 0.0551)  1 P 1.58



Look up the formation energy from the elements of the second one.
-17.96 eV/f.u.



Please write out number 2 again, unchanged.
Here is a relaxed LiMnPO4 crystal from the Materials Project. Energies are from PBE+U.

Output
Formation energy from the elements (eV/f.u.): -17.96
ΔE to the lowest computed polymorph (eV per atom): 0.068
Magnetization (μB/f.u.): 5.00

Lattice parameters (Å, degrees): 5.1075 8.2295 10.6738 90.00 117.39 90.00
Last column: nearest neighbours and their distance in Å.
Element x y z (fractional)
Li (0.0571, 0.0464, 0.3755)  3 O 1.96-2.03
Li (0.0571, 0.4536, 0.8755)  3 O 1.96-2.03
Li (0.9429, 0.5464, 0.1245)  3 O 1.96-2.03
Li (0.9429, 0.9536, 0.6245)  3 O 1.96-2.03
Mn (0.3322, 0.1728, 0.0912)  4 O 2.02-2.13
Mn (0.3322, 0.3272, 0.5912)  4 O 2.02-2.13
Mn (0.6678, 0.6728, 0.4088)  4 O 2.02-2.13
Mn (0.6678, 0.8272, 0.9088)  4 O 2.02-2.13
P (0.3162, 0.7442, 0.0696)  4 O 1.53-1.58
P (0.3162, 0.7558, 0.5696)  4 O 1.53-1.58
P (0.6838, 0.2442, 0.4304)  4 O 1.53-1.58
P (0.6838, 0.2558, 0.9304)  4 O 1.53-1.58
O (0.0293, 0.6715, 0.9449)  1 P 1.58
O (0.0293, 0.8285, 0.4449)  1 P 1.58
O (0.2937, 0.5703, 0.5594)  1 P 1.53
O (0.2937, 0.9297, 0.0594)  1 P 1.53
O (0.3195, 0.6788, 0.2072)  1 P 1.56
O (0.3195, 0.8212, 0.7072)  1 P 1.56
O (0.4069, 0.1867, 0.4429)  1 P 1.55
O (0.4069, 0.3133, 0.9429)  1 P 1.55
O (0.5931, 0.6867, 0.0571)  1 P 1.55
O (0.5931, 0.8133, 0.5571)  1 P 1.55
O (0.6805, 0.1788, 0.2928)  1 P 1.56
O (0.6805, 0.3212, 0.7928)  1 P 1.56
O (0.7063, 0.0703, 0.9406)  1 P 1.53
O (0.7063, 0.4297, 0.4406)  1 P 1.53
O (0.9707, 0.1715, 0.5551)  1 P 1.58
O (0.9707, 0.3285, 0.0551)  1 P 1.58



What is the magnetization in the first record?
0.00 μB/f.u.



The lowest magnetization belongs to which entry?
number 1